1.
VASP calculation (PBE) on a geometry-optimized CuHgO2 structure.

Geometry as extended XYZ:
```
4
Lattice="1.2732 -3.5710 -0.7158 3.3971 -1.7794 0.4223 0.6252 -3.9137 4.9941" Properties=species:S:1:pos:R:3 pbc="T T T"
O 2.4515 -5.1096 3.4683
O 2.8439 -4.1544 1.2322
Cu 0.3126 -1.9568 2.4970
Hg 2.3351 -2.6752 -0.1468
```

* magnetic moment: 0.4 μB/f.u.
* energy of formation from the pure elements: -288 kJ/mol of formula units
* symmetry: No. 12

2.
VASP calculation (PBE) on a geometry-optimized NaAlBr4 structure.

Geometry as extended XYZ:
```
24
Lattice="7.6620 0.0000 0.0000 0.0000 7.6967 0.0000 0.0000 0.0000 14.3302" Properties=species:S:1:pos:R:3 pbc="T T T"
Br 1.8100 0.0559 11.5293
Br 1.8100 3.7925 11.5293
Br 5.8521 3.9042 2.8008
Br 5.6410 3.9042 9.9659
Br 2.0211 3.7925 4.3643
Br 5.6410 7.6408 9.9659
Br 5.8521 7.6408 2.8008
Br 4.5092 1.9242 13.5124
Br 0.9711 1.9242 0.4464
Br 2.8599 1.9242 7.6115
Br 6.6910 5.7725 13.8838
Br 3.1528 5.7725 0.8178
Br 6.9838 1.9242 6.3473
Br 4.8021 5.7725 6.7187
Br 0.6782 5.7725 7.9829
Br 2.0211 0.0559 4.3643
Al 5.3866 5.7725 1.4529
Al 6.1065 5.7725 8.6180
Al 2.2755 1.9242 12.8772
Al 1.5555 1.9242 5.7122
Na 0.3943 1.9242 9.3268
Na 3.4367 1.9242 2.1617
Na 7.2677 5.7725 5.0033
Na 4.2254 5.7725 12.1684
```

* energy of formation from the pure elements: -971 kJ/mol of formula units
* symmetry: No. 62

3.
VASP calculation (PBE) on a geometry-optimized Rb2SnGe3O9 structure.

Geometry as extended XYZ:
```
90
Lattice="6.1676 -10.6826 0.0000 6.1676 10.6826 0.0000 0.0000 0.0000 10.8884" Properties=species:S:1:pos:R:3 pbc="T T T"
O 5.7200 7.1690 7.6167
O 7.2088 4.8437 6.6453
O 9.5162 -2.1445 8.7159
O 5.5772 2.0178 1.2011
O 5.7200 -7.1690 8.7159
O 1.3609 -0.9630 1.2606
O 10.9744 -0.9630 6.7048
O 2.3543 -4.0777 8.1663
O 3.2667 -1.3691 8.7159
O 6.3212 9.0226 4.1836
O 6.0141 -9.0226 6.7048
O 2.8190 -2.1445 3.2717
O 6.7580 2.0178 6.6453
O 3.8134 -6.6049 2.7221
O 10.8208 -0.6971 1.2606
O 1.5144 -0.6971 6.7048
O 6.7580 -2.0178 9.6872
O 5.9089 -5.2753 1.2625
O 2.8190 2.1445 2.1725
O 5.1264 4.8437 1.2011
O 6.3212 -9.0226 1.2606
O 1.5144 0.6971 9.6278
O 10.9744 0.9630 9.6278
O 10.8208 0.6971 4.1836
O 7.7992 3.8211 1.2011
O 4.7085 0.0000 2.7221
O 9.0685 -1.3691 3.2717
O 7.2088 -4.8437 9.6872
O 5.5772 -2.0178 4.2430
O 7.6267 0.0000 8.1663
O 7.7817 2.9277 4.1817
O 6.4264 -5.2753 6.7066
O 3.2667 1.3691 7.6167
O 5.1264 -4.8437 4.2430
O 5.9089 5.2753 4.1817
O 7.5230 2.4796 9.6259
O 4.5361 -3.8211 9.6872
O 7.5230 -2.4796 6.7066
O 7.7817 -2.9277 1.2625
O 6.0141 9.0226 9.6278
O 7.7992 -3.8211 4.2430
O 4.5361 3.8211 6.6453
O 9.0685 1.3691 2.1725
O 2.3543 4.0777 8.1663
O 4.8122 2.4796 4.1817
O 6.4264 5.2753 9.6259
O 6.6153 -7.1690 3.2717
O 4.8122 -2.4796 1.2625
O 3.8134 6.6049 2.7221
O 6.6153 7.1690 2.1725
O 4.5535 2.9277 9.6259
O 4.5535 -2.9277 6.7066
O 1.3609 0.9630 4.1836
O 9.5162 2.1445 7.6167
Ge 3.8048 3.0350 8.0404
Ge 7.8045 -1.7775 8.2922
Ge 6.8936 -5.8701 8.2922
Ge 5.4416 5.8701 2.5962
Ge 6.8936 5.8701 8.0404
Ge 8.5305 -3.0350 2.8480
Ge 4.5307 -1.7775 2.8480
Ge 5.0731 8.7868 8.1663
Ge 2.1891 0.0000 8.1663
Ge 7.8045 1.7775 8.0404
Ge 10.1462 0.0000 2.7221
Ge 5.4416 -5.8701 2.8480
Ge 4.5307 1.7775 2.5962
Ge 1.0945 1.8958 2.7221
Ge 8.5305 3.0350 2.5962
Ge 1.0945 -1.8958 2.7221
Ge 5.0731 -8.7868 8.1663
Ge 3.8048 -3.0350 8.2922
Rb 2.1686 3.7403 0.1837
Rb 8.0117 0.0079 0.1837
Rb 8.3225 6.9344 0.1837
Rb 10.1666 -3.7403 10.7046
Rb 10.1666 3.7403 5.6279
Rb 4.3235 -0.0079 10.7046
Rb 8.3225 -6.9344 5.2605
Rb 4.3235 0.0079 5.6279
Rb 8.0117 -0.0079 5.2605
Rb 2.1686 -3.7403 5.2605
Rb 4.0127 6.9344 5.6279
Rb 4.0127 -6.9344 10.7046
Sn 6.1676 3.5609 10.8085
Sn 0.0000 0.0000 0.0000
Sn 6.1676 3.5609 5.3643
Sn 0.0000 0.0000 5.4442
Sn 6.1676 -3.5609 5.5240
Sn 6.1676 -3.5609 0.0799
```

* magnetic moment: 0.0 μB/f.u.
* energy of formation from the pure elements: -3015 kJ/mol of formula units
* symmetry: No. 165

4.
VASP calculation (PBE) on a geometry-optimized BaPd structure.

Geometry as extended XYZ:
```
4
Lattice="2.2350 -6.0364 0.0000 2.2350 6.0364 0.0000 0.0000 0.0000 4.7373" Properties=species:S:1:pos:R:3 pbc="T T T"
Ba 2.2350 -4.3882 3.5530
Ba 2.2350 4.3882 1.1843
Pd 2.2350 -0.8440 3.5530
Pd 2.2350 0.8440 1.1843
```

* energy of formation from the pure elements: -105 kJ/mol of formula units
* symmetry: No. 63

5.
VASP calculation (PBE) on a geometry-optimized LuZnPd2 structure.

Geometry as extended XYZ:
```
4
Lattice="0.0633 -2.3975 3.9490 -3.8285 -2.1252 1.4739 -0.2636 -4.6118 -0.0928" Properties=species:S:1:pos:R:3 pbc="T T T"
Pd -1.0072 -2.2836 1.3325
Pd -3.0216 -6.8508 3.9975
Lu -2.0144 -4.5672 2.6650
Zn 0.0000 0.0000 0.0000
```

* energy of formation from the pure elements: -309 kJ/mol of formula units
* symmetry: No. 225

6.
VASP calculation (PBE) on a geometry-optimized BaCd2Sb2 structure.

Geometry as extended XYZ:
```
5
Lattice="2.1660 4.0561 1.6134 -4.8630 -0.3079 -0.0564 0.1065 -3.0690 7.5726" Properties=species:S:1:pos:R:3 pbc="T T T"
Sb -2.4415 -1.1147 6.0802
Sb -0.1490 1.7939 3.0494
Cd -2.4809 0.0197 3.2812
Cd -0.1096 0.6595 5.8484
Ba 0.0000 0.0000 0.0000
```

* energy of formation from the pure elements: -299 kJ/mol of formula units
* symmetry: No. 164

7.
VASP calculation (PBE) on a geometry-optimized Rb2Na2Sb2O3F10 structure.

Geometry as extended XYZ:
```
38
Lattice="18.9723 0.0000 0.0000 0.0000 6.0983 0.0000 0.0000 0.0301 6.1095" Properties=species:S:1:pos:R:3 pbc="T T T"
F 11.7236 3.1678 2.9620
F 1.8911 0.0798 6.0667
F 17.0812 6.0486 0.0428
F 2.1042 2.9917 6.0497
F 2.0635 0.0641 3.1518
F 11.5496 6.0643 2.9577
F 11.3772 6.0486 0.0428
F 7.3820 2.9917 6.0497
F 2.2374 2.9606 3.1475
F 16.8681 3.1366 0.0598
F 9.0230 1.6191 4.5288
F 7.5951 0.0798 6.0667
F 16.7349 3.1678 2.9620
F 7.4226 0.0641 3.1518
F 16.9088 6.0643 2.9577
F 11.5903 3.1366 0.0598
F 9.9493 4.5092 1.5807
F 18.5091 4.5092 1.5807
F 0.4632 1.6191 4.5288
F 7.2487 2.9606 3.1475
Sb 16.4853 4.6333 1.4817
Sb 6.9991 1.4951 4.6278
Sb 11.9732 4.6333 1.4817
Sb 2.4870 1.4951 4.6278
O 4.7431 5.4944 0.5386
O 4.7431 5.3498 5.3517
O 14.2292 5.4932 5.1481
O 4.7431 0.6352 0.9614
O 14.2292 0.6340 5.5708
O 14.2292 0.7786 0.7578
Rb 18.9698 4.5730 4.5642
Rb 9.4886 4.5730 4.5642
Rb 9.4837 1.5554 1.5453
Rb 0.0025 1.5554 1.5453
Na 7.1916 4.5585 1.5539
Na 2.2945 4.5585 1.5539
Na 16.6778 1.5699 4.5556
Na 11.7807 1.5699 4.5556
```

* magnetic moment: 0.0 μB/f.u.
* energy of formation from the pure elements: -4333 kJ/mol of formula units
* symmetry: No. 11

8.
VASP calculation (PBE) on a geometry-optimized Mg6ZnCdO8 structure.

Geometry as extended XYZ:
```
16
Lattice="-3.7790 -5.0777 5.9342 3.1667 -2.9636 -0.5193 2.3309 1.9397 3.1440" Properties=species:S:1:pos:R:3 pbc="T T T"
Mg 0.6189 -2.7777 1.2549
Mg -1.2312 -5.2636 4.1600
Mg -1.6490 -2.8119 5.9917
Mg -1.8895 -2.5388 2.9671
Mg 0.8593 -3.0508 4.2795
Mg 0.2010 -0.3261 3.0865
Cd 2.7488 -0.5120 1.3124
O -0.7240 -1.5690 4.5391
O 1.5833 -1.4818 -0.2597
O 1.1655 0.9698 1.5720
O -0.0228 -4.2361 5.6647
O -0.9537 -1.2815 1.4977
O -0.3061 -4.0207 2.7074
O -2.8252 -3.7962 4.4366
O 1.7414 -1.8656 2.8943
Zn 0.0000 0.0000 0.0000
```

* magnetic moment: 0.0 μB/f.u.
* energy of formation from the pure elements: -4023 kJ/mol of formula units
* symmetry: No. 123

Which formula does entry 6 have? BaCd2Sb2

energy of formation from the pure elements of number 4 (BaPd)? -105 kJ/mol of formula units

Which of these has the highest energy of formation from the pure elements? BaPd

Which value of energy of formation from the pure elements does entry 2 give? -971 kJ/mol of formula units